# La7Pd3

An optimized crystal structure of La7Pd3 (GGA-PBE, the Materials Project database).

Lattice parameters (Å, degrees): 10.389 10.389 6.631 90.00 90.00 120.00
Atoms (fractional coordinates):
Pd (0.812, 0.624, 0.190)
Pd (0.624, 0.812, 0.690)
Pd (0.188, 0.376, 0.690)
Pd (0.376, 0.188, 0.190)
Pd (0.188, 0.812, 0.690)
Pd (0.812, 0.188, 0.190)
La (0.462, 0.923, 0.939)
La (0.538, 0.077, 0.439)
La (0.538, 0.462, 0.439)
La (0.333, 0.667, 0.458)
La (0.667, 0.333, 0.958)
La (0.874, 0.749, 0.749)
La (0.077, 0.538, 0.939)
La (0.462, 0.538, 0.939)
La (0.749, 0.874, 0.249)
La (0.874, 0.126, 0.749)
La (0.923, 0.462, 0.439)
La (0.126, 0.874, 0.249)
La (0.126, 0.251, 0.249)
La (0.251, 0.126, 0.749)

# LaPd3S4

An optimized crystal structure of LaPd3S4 (GGA-PBE, the Materials Project database).

Lattice parameters (Å, degrees): 6.797 6.797 6.797 90.00 90.00 90.00
Atoms (fractional coordinates):
Pd (0.500, 0.250, 0.000)
Pd (0.750, 0.000, 0.500)
Pd (0.000, 0.500, 0.750)
Pd (0.250, 0.000, 0.500)
Pd (0.000, 0.500, 0.250)
Pd (0.500, 0.750, 0.000)
S (0.250, 0.750, 0.250)
S (0.250, 0.750, 0.750)
S (0.750, 0.250, 0.750)
S (0.750, 0.750, 0.250)
S (0.750, 0.250, 0.250)
S (0.250, 0.250, 0.250)
S (0.250, 0.250, 0.750)
S (0.750, 0.750, 0.750)
La (0.500, 0.500, 0.500)
La (0.000, 0.000, 0.000)

# LaSbPd

An optimized crystal structure of LaSbPd (GGA-PBE, the Materials Project database).

Lattice parameters (Å, degrees): 4.654 4.654 8.202 90.00 90.00 120.00
Atoms (fractional coordinates):
La (0.000, 0.000, 0.500)
La (0.000, 0.000, 0.000)
Sb (0.333, 0.667, 0.750)
Sb (0.667, 0.333, 0.250)
Pd (0.333, 0.667, 0.250)
Pd (0.667, 0.333, 0.750)

# LaSbPd

An optimized crystal structure of LaSbPd (GGA-PBE, the Materials Project database).

Lattice parameters (Å, degrees): 4.650 4.650 8.192 90.00 90.00 120.00
Atoms (fractional coordinates):
Sb (0.333, 0.667, 0.231)
Sb (0.667, 0.333, 0.731)
Pd (0.333, 0.667, 0.783)
Pd (0.667, 0.333, 0.283)
La (0.000, 0.000, 0.995)
La (0.000, 0.000, 0.495)

# La2Sb3Pd3

An optimized crystal structure of La2Sb3Pd3 (GGA-PBE, the Materials Project database).

Lattice parameters (Å, degrees): 3.084 3.084 22.206 90.00 90.00 90.00
Atoms (fractional coordinates):
Pd (0.500, 0.500, 0.879)
Pd (0.500, 0.500, 0.121)
Pd (0.500, 0.500, 0.500)
Sb (0.500, 0.500, 0.000)
Sb (0.500, 0.500, 0.616)
Sb (0.500, 0.500, 0.384)
La (0.500, 0.500, 0.760)
La (0.500, 0.500, 0.240)

Calculated values
The total magnetization comes out at 0.08 μB/f.u.

# LaSbPd

An optimized crystal structure of LaSbPd (GGA-PBE, the Materials Project database).

Lattice parameters (Å, degrees): 4.921 4.921 7.493 90.00 90.00 120.00
Atoms (fractional coordinates):
Sb (0.333, 0.667, 0.036)
Sb (0.667, 0.333, 0.964)
La (0.000, 0.000, 0.274)
La (0.000, 0.000, 0.726)
Pd (0.667, 0.333, 0.536)
Pd (0.333, 0.667, 0.464)

Calculated values
The total magnetization comes out at 0.00 μB/f.u.

# LaSb2Pd2

An optimized crystal structure of LaSb2Pd2 (GGA-PBE, the Materials Project database).

Lattice parameters (Å, degrees): 4.701 4.701 10.560 90.00 90.00 90.00
Atoms (fractional coordinates):
Pd (0.000, 0.500, 0.624)
Pd (0.000, 0.000, 0.000)
Pd (0.500, 0.500, 0.000)
Pd (0.500, 0.000, 0.376)
Sb (0.000, 0.000, 0.500)
Sb (0.500, 0.500, 0.500)
Sb (0.000, 0.500, 0.872)
Sb (0.500, 0.000, 0.128)
La (0.000, 0.500, 0.241)
La (0.500, 0.000, 0.759)

# LaSb2Pd

An optimized crystal structure of LaSb2Pd (GGA-PBE, the Materials Project database).

Lattice parameters (Å, degrees): 4.567 4.567 10.046 90.00 90.00 90.00
Atoms (fractional coordinates):
La (0.000, 0.500, 0.748)
La (0.500, 0.000, 0.252)
Sb (0.000, 0.000, 0.000)
Sb (0.000, 0.500, 0.354)
Sb (0.500, 0.500, 0.000)
Sb (0.500, 0.000, 0.646)
Pd (0.000, 0.000, 0.500)
Pd (0.500, 0.500, 0.500)

Number 1: calculated density 6.92 Mg/m³, energy of formation -0.521 eV/atom. Number 2: calculated density 6.20 Mg/m³, energy of formation -1.220 eV/atom. Number 3: calculated density 7.92 Mg/m³, energy of formation -1.143 eV/atom. Number 4: calculated density 7.95 Mg/m³, energy of formation -1.146 eV/atom. Number 5: calculated density 7.57 Mg/m³, energy of formation 0.195 eV/atom. Number 6: calculated density 7.76 Mg/m³, energy of formation -0.596 eV/atom. Number 7: calculated density 8.47 Mg/m³, energy of formation -0.896 eV/atom. Number 8: calculated density 7.75 Mg/m³, energy of formation -0.895 eV/atom.